Material: Cs4Mn3O6
Method: DFT, PBE+U
State: optimized geometry

V: 1194.8 Å³ per cell
corrected total energy (MP2020 scheme): -6.452 eV per atom
E_form: -1.7786 eV/atom
energy: -5.7501 eV per atom

CIF file:
```
data_Cs4Mn3O6
_chemical_formula_sum 'Cs16 Mn12 O24'
_space_group_name_H-M_alt 'P 1 2 1'
_space_group_IT_number 3
_cell_length_a 12.5211
_cell_length_b 8.5691
_cell_length_c 12.5462
_cell_angle_alpha 90.00
_cell_angle_beta 117.43
_cell_angle_gamma 90.00
loop_
_space_group_symop_operation_xyz
'x,y,z'
'-x,y,-z'
loop_
_atom_site_label
_atom_site_type_symbol
_atom_site_fract_x
_atom_site_fract_y
_atom_site_fract_z
Cs1 Cs 0.1566 0.0000 0.3345
Cs2 Cs 0.1619 0.6279 0.8232
Cs3 Cs 0.1755 0.1367 0.8356
Cs4 Cs 0.1772 0.4871 0.3332
Cs5 Cs 0.3253 0.3818 0.6743
Cs6 Cs 0.3333 0.2785 0.1775
Cs7 Cs 0.3333 0.7613 0.1591
Cs8 Cs 0.3415 0.8821 0.6578
Mn1 Mn 0.0000 0.0477 0.0000
Mn2 Mn 0.0000 0.1969 0.5000
Mn3 Mn 0.0000 0.3802 0.0000
Mn4 Mn 0.0000 0.5302 0.5000
Mn5 Mn 0.0000 0.7151 0.0000
Mn6 Mn 0.0000 0.8609 0.5000
Mn7 Mn 0.5000 0.0508 0.5000
Mn8 Mn 0.5000 0.2334 0.0000
Mn9 Mn 0.5000 0.3824 0.5000
Mn10 Mn 0.5000 0.5669 0.0000
Mn11 Mn 0.5000 0.7139 0.5000
Mn12 Mn 0.5000 0.9028 0.0000
O1 O 0.0359 0.8945 0.9099
O2 O 0.0548 0.3511 0.6255
O3 O 0.0685 0.2149 0.1181
O4 O 0.1090 0.0299 0.5894
O5 O 0.1112 0.7077 0.4985
O6 O 0.1241 0.5340 0.0745
O7 O 0.3745 0.4130 0.9452
O8 O 0.3785 0.2047 0.4740
O9 O 0.4001 0.8818 0.3991
O10 O 0.4104 0.7341 0.8909
O11 O 0.4735 0.5603 0.3780
O12 O 0.4970 0.0556 0.1105
```